(1)
The following is a DFT calculation (PBE) of a relaxed LaMg14C crystal.

```
data_LaMg14C
_space_group_name_H-M_alt 'P -6 m 2'
_space_group_IT_number 187
_space_group_name_Hall 'P -6 2'
_cell_length_a 6.4428
_cell_length_b 6.4428
_cell_length_c 10.1367
_cell_angle_alpha 90.00
_cell_angle_beta 90.00
_cell_angle_gamma 120.00
loop_
_atom_site_label
_atom_site_fract_x
_atom_site_fract_y
_atom_site_fract_z
_atom_site_occupancy
La1 0.0000 0.0000 0.0000 1
Mg1 0.0188 0.5094 0.0000 1
Mg2 0.1582 0.3164 0.2789 1
Mg3 0.5069 0.0139 0.5000 1
Mg4 0.6667 0.3333 0.2373 1
C1 0.0000 0.0000 0.5000 1
```

density	2.24	g cm⁻³
formation energy from the elements	0.30	eV/atom
raw total energy	-1.983	eV per atom
spin magnetization	0.593	μB per cell

---

(2)
The following is a DFT calculation (PBE) of a relaxed Eu3ReO8 crystal.

```
data_Eu3ReO8
_space_group_name_H-M_alt 'P 1 21/m 1'
_space_group_IT_number 11
_cell_length_a 7.4188
_cell_length_b 6.2924
_cell_length_c 7.4265
_cell_angle_alpha 90.00
_cell_angle_beta 111.34
_cell_angle_gamma 90.00
loop_
_space_group_symop_operation_xyz
'x,y,z'
'-x,-y,-z'
'-x,y+1/2,-z'
'x,-y+1/2,z'
loop_
_atom_site_label
_atom_site_fract_x
_atom_site_fract_y
_atom_site_fract_z
_atom_site_occupancy
Eu1 0.1026 0.2500 0.3947 1
Eu2 0.1686 0.2500 0.8901 1
Eu3 0.3899 0.7500 0.6577 1
Re1 0.3195 0.7500 0.1724 1
O1 0.0792 0.7500 0.9637 1
O2 0.1557 0.7500 0.3380 1
O3 0.1651 0.5011 0.6639 1
O4 0.3062 0.0484 0.1942 1
O5 0.4609 0.7500 0.0172 1
O6 0.4653 0.2500 0.5913 1
```

density	7.92	g cm⁻³
formation energy from the elements	-2.79	eV/atom
raw total energy	-9.233	eV per atom
spin magnetization	36.007	μB per cell

---

(3)
The following is a DFT calculation (PBE) of a relaxed PuPbAu2 crystal.

```
data_PuPbAu2
_space_group_name_H-M_alt 'F m -3 m'
_space_group_IT_number 225
_space_group_name_Hall '-F 4 2 3'
_cell_length_a 7.1629
_cell_length_b 7.1629
_cell_length_c 7.1629
_cell_angle_alpha 90.00
_cell_angle_beta 90.00
_cell_angle_gamma 90.00
loop_
_atom_site_label
_atom_site_fract_x
_atom_site_fract_y
_atom_site_fract_z
_atom_site_occupancy
Pu1 0.0000 0.0000 0.0000 1
Pb1 0.0000 0.0000 0.5000 1
Au1 0.2500 0.2500 0.2500 1
```

density	15.27	g cm⁻³
formation energy from the elements	-0.34	eV/atom
raw total energy	-6.473	eV per atom